1.
Here is a relaxed structure of CaMg2C3O9 from the Materials Project database. Energies are from meta-GGA r2SCAN.

Structure (POSCAR):
```
CaMg2C3O9
1.0
5.893 0.000 0.000
-2.045 7.277 0.000
-1.920 -3.634 7.141
Ca Mg C O
2 4 6 18
Direct
0.166 0.169 0.332
0.834 0.831 0.668
0.169 0.670 0.334
0.500 0.000 0.000
0.500 0.500 0.000
0.831 0.330 0.666
0.004 0.736 0.998
0.323 0.584 0.673
0.350 0.084 0.675
0.650 0.916 0.325
0.677 0.416 0.327
0.996 0.264 0.002
0.089 0.367 0.181
0.090 0.336 0.901
0.139 0.407 0.594
0.188 0.914 0.076
0.252 0.981 0.495
0.275 0.001 0.774
0.395 0.664 0.570
0.440 0.680 0.853
0.481 0.730 0.246
0.519 0.270 0.754
0.560 0.320 0.147
0.605 0.336 0.430
0.725 0.999 0.226
0.748 0.019 0.505
0.812 0.086 0.924
0.861 0.593 0.406
0.910 0.664 0.099
0.911 0.633 0.819
```

Magnetic moment (μB per cell): 0.00

2.
Here is a relaxed structure of ZnPd3 from the Materials Project database. Energies are from meta-GGA r2SCAN.

Structure (POSCAR):
```
ZnPd3
1.0
-1.954 1.954 3.824
1.954 -1.954 3.824
1.954 1.954 -3.824
Zn Pd
1 3
Direct
0.000 0.000 0.000
0.250 0.750 0.500
0.500 0.500 0.000
0.750 0.250 0.500
```

Magnetic moment (μB per cell): 0.00

3.
Here is a relaxed structure of BaSr from the Materials Project database. Energies are from meta-GGA r2SCAN.

Structure (POSCAR):
```
BaSr
1.0
2.509 -3.466 0.000
2.509 3.466 0.000
0.000 0.000 6.921
Ba Sr
1 1
Direct
0.000 0.000 0.000
0.500 0.500 0.500
```

Magnetic moment (μB per cell): 0.00

4.
Here is a relaxed structure of Ca2Si3Ag from the Materials Project database. Energies are from meta-GGA r2SCAN.

Structure (POSCAR):
```
Ca2Si3Ag
1.0
0.000 4.338 7.178
4.145 0.000 7.178
4.145 4.338 0.000
Ca Si Ag
4 6 2
Direct
0.247 0.753 0.247
0.250 0.250 0.250
0.750 0.750 0.750
0.753 0.247 0.753
0.162 0.162 0.838
0.163 0.675 0.837
0.325 0.837 0.675
0.675 0.163 0.325
0.837 0.325 0.163
0.838 0.838 0.162
0.333 0.333 0.667
0.667 0.667 0.333
```

Magnetic moment (μB per cell): 0.00

Electronic total energy for the records above, in order: -8.862; -19.779; -20.761; -10.806 eV per atom
E_form for the records above, in order: -2.264; -0.331; 0.062; -0.514 eV per atom